FeBr4N after structural relaxation. Source: Materials Project, functional PBE-GGA.

Calculated values
Calculated density: 2.925 g cm⁻³
Total DFT energy (no corrections): -3.555 eV per atom
Magnetization: 0.79 μB per atom
V: 36.85 Å³ per atom
Calculated formation energy: 277 meV per atom

a = 7.7069 Å, b = 10.7388 Å, c = 13.1108 Å
α = 125.42°, β = 90.00°, γ = 90.00°
Fractional positions:
Br (0.7139, 0.1072, 0.5922)
Br (0.8694, 0.3183, 0.1367)
Br (0.8308, 0.8236, 0.1528)
Br (0.7139, 0.8928, 0.9078)
Br (0.2946, 0.5087, 0.0977)
N (0.2577, 0.5000, 0.7500)
Br (0.2946, 0.4913, 0.4023)
Fe (0.1800, 0.2991, 0.0818)
Br (0.7054, 0.4913, 0.9023)
Br (0.2861, 0.8928, 0.4078)
Fe (0.8200, 0.2991, 0.5818)
Br (0.1692, 0.8236, 0.6528)
Br (0.1306, 0.3183, 0.6367)
Br (0.1306, 0.6817, 0.8633)
N (0.0279, 0.0000, 0.7500)
N (0.7423, 0.5000, 0.2500)
Br (0.2861, 0.1072, 0.0922)
Br (0.8308, 0.1764, 0.3472)
Br (0.1692, 0.1764, 0.8472)
Br (0.7054, 0.5087, 0.5977)
N (0.9721, 0.0000, 0.2500)
Fe (0.1800, 0.7009, 0.4182)
Fe (0.8200, 0.7009, 0.9182)
Br (0.8694, 0.6817, 0.3633)